Entry 1:
First-principles (PBE with a Hubbard U) data for Co4Mo4O19 after structural relaxation, as listed in the Materials Project database.

```
Co4Mo4O19
1.0
6.8722 0.0000 0.0000
1.8012 6.7066 0.0000
1.4230 1.8179 9.1407
Co Mo O
4 4 19
direct
0.0000 0.0000 0.0000
0.0290 0.1826 0.2752
0.3617 0.4804 0.6612
0.3959 0.6607 0.9352
0.1851 0.6381 0.2883
0.2074 0.0261 0.6470
0.4388 0.1297 0.0226
0.9538 0.5341 0.9138
0.0329 0.4612 0.2962
0.0509 0.9093 0.2209
0.0694 0.6978 0.9829
0.0707 0.5150 0.7324
0.1175 0.0558 0.4757
0.2728 0.6089 0.4604
0.3211 0.1486 0.2038
0.3244 0.9648 0.9535
0.3420 0.7556 0.7150
0.3593 0.2031 0.6402
0.3999 0.3777 0.8989
0.4008 0.5818 0.1608
0.6018 0.4474 0.6152
0.6508 0.8527 0.4286
0.6936 0.6431 0.9057
0.6996 0.0242 0.0304
0.7887 0.2156 0.3210
0.9911 0.2861 0.0375
0.9919 0.0822 0.7748
```

Properties
For the formation energy, the calculation gives -1.2849 eV per atom. The calculation puts the size of the total moment at 2.20 Bohr magnetons per cell. Its density is 3.640 g/cm3.


Entry 2:
First-principles (PBE with a Hubbard U) data for Ca5Si6W5O17 after structural relaxation, as listed in the Materials Project database.

```
Ca5Si6W5O17
1.0
5.8015 -3.7413 0.0000
5.8015 3.7413 0.0000
-2.6134 0.0000 23.5250
Ca Si W O
10 12 10 34
direct
0.0325 0.2916 0.1470
0.0478 0.8003 0.2261
0.0626 0.9374 0.5000
0.2885 0.5411 0.7436
0.2916 0.0325 0.6470
0.5271 0.7773 0.1599
0.5411 0.2885 0.2436
0.7773 0.5271 0.6599
0.8003 0.0478 0.7261
0.9374 0.0626 0.0000
0.0176 0.3428 0.2823
0.1416 0.3986 0.8727
0.1634 0.4242 0.0155
0.2427 0.5514 0.6046
0.3428 0.0176 0.7823
0.3986 0.1416 0.3727
0.4242 0.1634 0.5155
0.5514 0.2427 0.1046
0.5932 0.7626 0.2864
0.7626 0.5932 0.7864
0.8095 0.9691 0.6007
0.9691 0.8095 0.1007
0.1241 0.7949 0.3591
0.2278 0.8139 0.8974
0.4101 0.8320 0.0259
0.4740 0.6197 0.4445
0.6068 0.9306 0.9312
0.6197 0.4740 0.9445
0.7949 0.1241 0.8591
0.8139 0.2278 0.3974
0.8320 0.4101 0.5259
0.9306 0.6068 0.4312
0.0331 0.7676 0.5797
0.0449 0.3030 0.0444
0.0511 0.6847 0.0374
0.1451 0.8853 0.1349
0.1492 0.4204 0.2424
0.1531 0.2539 0.3443
0.1525 0.4053 0.9439
0.1616 0.4252 0.6453
0.1738 0.9401 0.7457
0.2490 0.5363 0.8458
0.2539 0.1531 0.8443
0.3030 0.0449 0.5444
0.3404 0.4105 0.5442
0.4038 0.6419 0.6401
0.4053 0.1525 0.4439
0.4105 0.3404 0.0442
0.4204 0.1492 0.7424
0.4252 0.1616 0.1453
0.4254 0.6861 0.2474
0.4839 0.8898 0.3469
0.5363 0.2490 0.3458
0.5463 0.8008 0.8057
0.6419 0.4038 0.1401
0.6666 0.9020 0.2479
0.6780 0.8983 0.6414
0.6847 0.0511 0.5374
0.6861 0.4254 0.7474
0.7676 0.0331 0.0797
0.8008 0.5463 0.3057
0.8853 0.1451 0.6349
0.8898 0.4839 0.8469
0.8983 0.6780 0.1414
0.9020 0.6666 0.7479
0.9401 0.1738 0.2457
```

Properties
For the formation energy, the calculation gives -1.9784 eV per atom. The calculation puts the size of the total moment at 43.59 Bohr magnetons per cell. Its density is 5.073 g/cm3. The excess energy over the best structure of this formula in the dataset is 0.008 eV per atom.


Entry 3:
First-principles (PBE with a Hubbard U) data for Mn3ZnI8O24 after structural relaxation, as listed in the Materials Project database.

```
Mn3ZnI8O24
1.0
5.3098 0.0000 0.0000
0.0168 11.2236 0.0000
0.0049 5.5473 9.7939
Mn Zn I O
3 1 8 24
direct
0.0000 0.0000 0.0000
0.0043 0.5007 0.4968
0.5026 0.0207 0.4894
0.4921 0.5210 0.9861
0.4047 0.1777 0.6786
0.4099 0.6750 0.1753
0.4166 0.1807 0.1442
0.4265 0.6732 0.6474
0.9031 0.3451 0.3054
0.9042 0.8410 0.8113
0.9121 0.3450 0.8415
0.9250 0.8472 0.3417
0.2020 0.1483 0.0347
0.2165 0.8222 0.1492
0.2177 0.3267 0.6529
0.2273 0.0409 0.8202
0.2274 0.6405 0.5330
0.2334 0.5375 0.3168
0.2652 0.0680 0.3097
0.2680 0.5626 0.8119
0.2746 0.3449 0.1100
0.2778 0.8367 0.6088
0.2867 0.1550 0.5377
0.2933 0.6521 0.0337
0.6976 0.3768 0.9520
0.7102 0.6943 0.8365
0.7180 0.1949 0.3332
0.7228 0.4817 0.1640
0.7275 0.8795 0.4568
0.7328 0.9817 0.6697
0.7639 0.4572 0.6749
0.7652 0.9582 0.1783
0.7700 0.1820 0.8747
0.7785 0.6843 0.3783
0.7867 0.3675 0.4469
0.7884 0.8647 0.9519
```

Properties
For the formation energy, the calculation gives -1.1360 eV per atom. The calculation puts the size of the total moment at 15.00 Bohr magnetons per cell. Its density is 4.636 g/cm3.


> Which value of size of the total moment does entry 1 give?

2.20 Bohr magnetons per cell


What did the first record say?
First-principles (PBE with a Hubbard U) data for Co4Mo4O19 after structural relaxation, as listed in the Materials Project database.

```
Co4Mo4O19
1.0
6.8722 0.0000 0.0000
1.8012 6.7066 0.0000
1.4230 1.8179 9.1407
Co Mo O
4 4 19
direct
0.0000 0.0000 0.0000
0.0290 0.1826 0.2752
0.3617 0.4804 0.6612
0.3959 0.6607 0.9352
0.1851 0.6381 0.2883
0.2074 0.0261 0.6470
0.4388 0.1297 0.0226
0.9538 0.5341 0.9138
0.0329 0.4612 0.2962
0.0509 0.9093 0.2209
0.0694 0.6978 0.9829
0.0707 0.5150 0.7324
0.1175 0.0558 0.4757
0.2728 0.6089 0.4604
0.3211 0.1486 0.2038
0.3244 0.9648 0.9535
0.3420 0.7556 0.7150
0.3593 0.2031 0.6402
0.3999 0.3777 0.8989
0.4008 0.5818 0.1608
0.6018 0.4474 0.6152
0.6508 0.8527 0.4286
0.6936 0.6431 0.9057
0.6996 0.0242 0.0304
0.7887 0.2156 0.3210
0.9911 0.2861 0.0375
0.9919 0.0822 0.7748
```

Properties
For the formation energy, the calculation gives -1.2849 eV per atom. The calculation puts the size of the total moment at 2.20 Bohr magnetons per cell. Its density is 3.640 g/cm3.